1.
DFT (GGA-PBE) results for an optimized crystal structure of SbPb.

extended XYZ file:
```
8
Lattice="6.359 0.000 0.000 0.000 6.359 0.000 0.000 0.000 6.359" Properties=species:S:1:pos:R:3 pbc="T T T"
Sb 0.000 0.000 0.000
Sb 0.000 3.180 3.180
Sb 3.180 0.000 3.180
Sb 3.180 3.180 0.000
Pb 0.000 0.000 3.180
Pb 0.000 3.180 0.000
Pb 3.180 0.000 0.000
Pb 3.180 3.180 3.180
```

## Properties
- Formation energy from the elements: 81 meV per atom

***

2.
DFT (GGA-PBE) results for an optimized crystal structure of Tb2Si5Rh3.

extended XYZ file:
```
20
Lattice="5.570 -5.918 0.000 5.570 5.918 0.000 -2.711 0.000 5.033" Properties=species:S:1:pos:R:3 pbc="T T T"
Tb 1.948 1.587 1.207
Tb 0.592 -1.587 3.723
Tb 7.838 1.587 1.310
Tb 6.482 -1.587 3.826
Si 3.537 5.771 3.774
Si 1.491 1.233 4.220
Si 3.537 2.651 3.774
Si 4.893 2.491 1.258
Si 2.846 -1.233 1.704
Si 5.583 1.233 3.329
Si 3.537 -2.491 3.774
Si 4.893 -2.651 1.258
Si 6.939 -1.233 0.812
Si 4.893 -5.771 1.258
Rh 3.446 4.269 1.880
Rh 6.339 4.269 0.636
Rh 4.893 0.024 1.258
Rh 3.537 -0.024 3.774
Rh 2.091 -4.269 4.397
Rh 4.983 -4.269 3.152
```

## Properties
- Formation energy from the elements: -978 meV per atom

***

3.
DFT (GGA-PBE) results for an optimized crystal structure of Sb.

extended XYZ file:
```
14
Lattice="6.846 0.000 0.000 -1.888 8.432 0.000 -0.330 -3.747 8.036" Properties=species:S:1:pos:R:3 pbc="T T T"
Sb 0.000 0.000 0.000
Sb -0.944 4.216 0.000
Sb 0.555 -0.422 4.357
Sb -0.032 4.084 2.959
Sb 1.111 -1.201 7.121
Sb 0.380 3.998 6.061
Sb 0.596 6.741 0.911
Sb 3.258 -1.874 4.018
Sb 2.314 2.342 4.018
Sb 4.032 -2.057 7.125
Sb 4.248 0.687 1.975
Sb 3.518 5.885 0.915
Sb 4.661 0.600 5.077
Sb 4.074 5.106 3.679
```

## Properties
- Formation energy from the elements: 268 meV per atom
- Energy relative to the lowest polymorph listed for this composition: 0.268 eV per atom
- Magnetization: 0.0 Bohr magnetons per cell

***

4.
DFT (GGA-PBE) results for an optimized crystal structure of NbO2.

extended XYZ file:
```
6
Lattice="2.998 0.000 0.000 -1.499 2.597 0.000 0.000 0.000 10.198" Properties=species:S:1:pos:R:3 pbc="T T T"
Nb 0.000 1.731 2.549
Nb 1.499 0.866 7.648
O 0.000 1.731 6.458
O 0.000 1.731 8.839
O 1.499 0.866 1.359
O 1.499 0.866 3.740
```

## Properties
- Formation energy from the elements: -2614 meV per atom
- Magnetization: 1.1 Bohr magnetons per cell

***

5.
DFT (GGA-PBE) results for an optimized crystal structure of Cr7Cd3In2S16.

extended XYZ file:
```
28
Lattice="7.430 0.000 0.000 0.000 7.327 0.000 -0.217 0.000 10.438" Properties=species:S:1:pos:R:3 pbc="T T T"
Cr 0.000 0.000 0.000
Cr -0.117 1.817 6.549
Cr -0.117 5.509 6.549
Cr 1.671 3.663 9.146
Cr 3.697 1.809 1.277
Cr 3.697 5.517 1.277
Cr 5.514 0.000 3.889
Cd -0.016 3.663 2.580
Cd 3.597 3.663 5.228
Cd 3.593 0.000 7.813
In 1.779 0.000 3.890
In 5.413 3.663 9.141
S -0.045 1.898 9.005
S -0.045 5.429 9.005
S 1.451 0.000 6.490
S 1.489 3.663 6.706
S 2.032 0.000 1.245
S 2.088 3.663 1.135
S 3.411 1.999 9.326
S 3.411 5.328 9.326
S 3.774 1.659 3.687
S 3.774 5.668 3.687
S 5.263 3.663 1.277
S 5.412 0.000 1.397
S 5.687 0.000 6.352
S 5.748 3.663 6.568
S 7.232 1.674 4.121
S 7.232 5.652 4.121
```

## Properties
- Formation energy from the elements: -916 meV per atom
- Magnetization: 22.0 Bohr magnetons per cell

***

6.
DFT (GGA-PBE) results for an optimized crystal structure of NaGaBP2H3O10.

extended XYZ file:
```
36
Lattice="5.301 -4.119 0.000 5.301 4.119 0.000 -4.103 0.000 8.245" Properties=species:S:1:pos:R:3 pbc="T T T"
Na 2.223 3.045 6.184
Na 4.275 -3.045 2.061
Ga 2.650 2.059 0.000
Ga 0.599 -2.059 4.123
B 4.275 0.272 2.061
B 2.223 -0.272 6.184
P -0.386 0.530 5.604
P 1.665 -0.530 1.481
P 4.832 0.530 6.764
P 6.884 -0.530 2.642
H 0.599 2.059 4.123
H 3.469 1.550 3.504
H 5.081 1.550 0.619
H 2.650 -2.059 0.000
H 1.417 -1.550 7.627
H 3.029 -1.550 4.742
O 1.668 2.505 3.758
O 1.404 0.885 0.925
O -1.436 0.782 6.687
O 0.615 -0.782 2.564
O -0.648 -0.885 5.048
O 4.233 1.099 0.827
O 1.064 0.629 6.205
O 6.882 2.505 0.365
O 4.316 1.099 3.296
O 3.116 -0.629 2.083
O 3.382 0.629 6.163
O 2.181 -1.099 4.950
O -0.384 -2.505 7.881
O 5.434 -0.629 2.040
O 2.265 -1.099 7.419
O 7.145 0.885 3.197
O 5.883 0.782 5.682
O 7.934 -0.782 1.559
O 5.094 -0.885 7.320
O 4.830 -2.505 4.487
```

## Properties
- Formation energy from the elements: -2323 meV per atom
- Energy relative to the lowest polymorph listed for this composition: 0.000 eV per atom
- Magnetization: 0.0 Bohr magnetons per cell

***

7.
DFT (GGA-PBE) results for an optimized crystal structure of Nd3S2Br5.

extended XYZ file:
```
40
Lattice="7.256 0.000 0.000 0.000 22.787 0.000 0.000 0.000 6.927" Properties=species:S:1:pos:R:3 pbc="T T T"
Nd 0.342 5.697 0.393
Nd 0.869 2.364 3.083
Nd 0.869 9.030 3.083
Nd 2.759 13.758 6.546
Nd 2.759 20.423 6.546
Nd 3.286 17.090 3.857
Nd 3.970 5.697 3.070
Nd 4.498 2.364 0.381
Nd 4.498 9.030 0.381
Nd 6.387 13.758 3.845
Nd 6.387 20.423 3.845
Nd 6.914 17.090 6.534
S 1.206 15.370 4.837
S 1.206 18.811 4.837
S 2.422 3.976 1.373
S 2.422 7.417 1.373
S 4.834 15.370 5.554
S 4.834 18.811 5.554
S 6.051 3.976 2.090
S 6.051 7.417 2.090
Br 0.153 14.126 1.049
Br 0.153 20.055 1.049
Br 1.237 5.697 4.401
Br 1.292 11.875 4.617
Br 1.292 22.306 4.617
Br 2.336 0.481 1.154
Br 2.336 10.912 1.154
Br 2.391 17.090 0.938
Br 3.475 2.732 4.512
Br 3.475 8.662 4.512
Br 3.782 14.126 2.415
Br 3.782 20.055 2.415
Br 4.865 5.697 5.989
Br 4.920 11.875 5.773
Br 4.920 22.306 5.773
Br 5.964 0.481 2.310
Br 5.964 10.912 2.310
Br 6.020 17.090 2.526
Br 7.103 2.732 5.879
Br 7.103 8.662 5.879
```

## Properties
- Formation energy from the elements: -2319 meV per atom
- Magnetization: 0.0 Bohr magnetons per cell

***

8.
DFT (GGA-PBE) results for an optimized crystal structure of NaAlF4.

extended XYZ file:
```
12
Lattice="1.834 -7.545 0.000 1.834 7.545 0.000 0.000 0.000 5.322" Properties=species:S:1:pos:R:3 pbc="T T T"
Na 1.834 4.622 3.991
Na 1.834 -4.622 1.330
Al 1.834 1.289 3.991
Al 1.834 -1.289 1.330
F 1.834 6.312 1.330
F 1.834 2.572 2.727
F 1.834 2.572 5.255
F 1.834 0.000 0.000
F 1.834 0.000 2.661
F 1.834 -2.572 0.066
F 1.834 -2.572 2.595
F 1.834 -6.312 3.991
```

## Properties
- Formation energy from the elements: -3612 meV per atom

***

9.
DFT (GGA-PBE) results for an optimized crystal structure of NdCo3P2.

extended XYZ file:
```
36
Lattice="3.767 0.000 0.000 0.000 10.660 0.000 0.000 0.000 12.403" Properties=species:S:1:pos:R:3 pbc="T T T"
Nd 0.942 0.734 2.554
Nd 0.942 2.665 5.939
Nd 0.942 4.596 2.554
Nd 2.825 6.064 9.849
Nd 2.825 7.995 6.464
Nd 2.825 9.926 9.849
Co 0.942 1.403 8.809
Co 0.942 2.665 0.113
Co 0.942 3.927 8.809
Co 0.942 5.822 5.338
Co 0.942 6.215 12.372
Co 0.942 7.995 1.957
Co 0.942 7.995 8.751
Co 0.942 9.775 12.372
Co 0.942 10.168 5.338
Co 2.825 0.492 7.065
Co 2.825 0.885 0.031
Co 2.825 2.665 3.652
Co 2.825 2.665 10.445
Co 2.825 4.445 0.031
Co 2.825 4.838 7.065
Co 2.825 6.733 3.594
Co 2.825 7.995 12.290
Co 2.825 9.257 3.594
P 0.942 1.040 11.090
P 0.942 4.290 11.090
P 0.942 5.939 7.614
P 0.942 7.995 4.215
P 0.942 7.995 11.009
P 0.942 10.051 7.614
P 2.825 0.609 4.788
P 2.825 2.665 1.394
P 2.825 2.665 8.187
P 2.825 4.721 4.788
P 2.825 6.370 1.313
P 2.825 9.620 1.313
```

## Properties
- Formation energy from the elements: -856 meV per atom
- Magnetization: 4.9 Bohr magnetons per cell

***

10.
DFT (GGA-PBE) results for an optimized crystal structure of Na2Ti4O9.

extended XYZ file:
```
90
Lattice="8.871 0.000 0.000 2.959 10.734 0.000 1.504 2.548 11.377" Properties=species:S:1:pos:R:3 pbc="T T T"
Na 0.000 0.000 0.000
Na 1.570 5.424 0.140
Na 1.494 3.267 5.149
Na 2.956 0.092 0.024
Na 4.459 3.360 5.161
Na 5.994 8.661 5.012
Na 7.244 11.243 6.666
Na 7.162 5.549 9.956
Na 5.925 0.014 0.046
Na 7.404 3.366 5.130
Na 10.580 11.132 6.599
Na 10.528 5.404 9.886
Ti 1.512 2.833 8.165
Ti 1.490 2.859 1.984
Ti 2.965 5.983 6.858
Ti 2.969 5.959 3.384
Ti 4.459 8.327 8.256
Ti 4.445 8.124 1.784
Ti 5.952 10.644 9.683
Ti 5.921 11.217 3.194
Ti 4.467 3.066 8.375
Ti 4.431 2.886 1.923
Ti 5.933 5.967 6.868
Ti 5.932 5.850 3.294
Ti 7.420 8.292 8.306
Ti 7.399 8.132 1.782
Ti 8.893 10.648 9.689
Ti 8.876 11.215 3.250
Ti 7.425 2.966 8.278
Ti 7.412 2.860 1.936
Ti 8.898 5.998 6.856
Ti 8.888 5.956 3.381
Ti 10.379 8.355 8.234
Ti 10.351 8.231 1.864
Ti 11.852 10.683 9.672
Ti 11.854 11.179 3.257
O 2.980 9.372 2.378
O 2.966 7.132 8.794
O 4.466 11.744 8.958
O 2.951 6.907 1.535
O 1.495 0.920 1.794
O 2.967 5.266 5.162
O 4.445 9.345 9.960
O 4.474 10.841 4.335
O 2.958 3.349 9.508
O 2.993 2.555 7.026
O 2.944 3.224 0.840
O 4.471 7.291 6.571
O 4.444 8.809 0.003
O 2.960 2.422 3.385
O 4.468 7.171 3.625
O 4.454 4.894 7.578
O 5.953 9.517 7.746
O 4.440 4.704 2.791
O 5.929 9.332 2.424
O 5.948 7.114 8.757
O 7.414 11.753 8.979
O 5.929 6.894 1.516
O 4.434 0.930 1.800
O 7.385 10.867 4.372
O 5.933 5.300 5.151
O 7.421 9.361 9.962
O 5.953 3.385 9.546
O 5.933 2.516 7.062
O 7.400 7.298 6.561
O 7.396 8.827 0.006
O 5.920 2.418 3.379
O 5.931 3.127 0.813
O 7.390 7.176 3.626
O 7.410 4.902 7.597
O 8.902 9.559 7.768
O 7.418 4.701 2.791
O 8.875 9.382 2.378
O 8.883 7.084 8.771
O 10.377 11.745 8.949
O 8.904 6.913 1.535
O 7.411 0.923 1.810
O 10.356 10.935 4.368
O 8.894 5.271 5.161
O 10.394 9.348 9.975
O 8.887 3.391 9.490
O 8.869 2.532 7.003
O 10.371 7.274 6.582
O 10.357 8.799 0.012
O 8.900 3.202 0.810
O 8.896 2.409 3.383
O 10.365 7.190 3.646
O 10.375 4.886 7.567
O 11.836 9.534 7.770
O 10.360 4.750 2.741
```

## Properties
- Formation energy from the elements: -3212 meV per atom
- Magnetization: 0.0 Bohr magnetons per cell

***

11.
DFT (GGA-PBE) results for an optimized crystal structure of FeCoSn.

extended XYZ file:
```
6
Lattice="4.301 0.000 0.000 -2.150 3.724 0.000 0.000 0.000 5.194" Properties=species:S:1:pos:R:3 pbc="T T T"
Fe 0.000 0.000 0.000
Fe 0.000 0.000 2.597
Co 0.000 2.483 1.298
Co 2.150 1.241 3.895
Sn 0.000 2.483 3.895
Sn 2.150 1.241 1.298
```

## Properties
- Formation energy from the elements: 111 meV per atom
- Magnetization: 6.3 Bohr magnetons per cell

***

12.
DFT (GGA-PBE) results for an optimized crystal structure of GaAsO6.

extended XYZ file:
```
64
Lattice="8.796 0.000 0.000 0.000 10.044 0.000 0.000 0.000 10.151" Properties=species:S:1:pos:R:3 pbc="T T T"
Ga 1.256 1.844 1.297
Ga 1.256 3.178 6.372
Ga 3.142 6.866 1.297
Ga 3.142 8.200 6.372
Ga 5.654 1.844 3.779
Ga 5.654 3.178 8.854
Ga 7.539 6.866 3.779
Ga 7.539 8.200 8.854
As 0.355 6.368 6.692
As 0.355 8.697 1.616
As 4.043 1.346 6.692
As 4.043 3.675 1.616
As 4.753 6.368 8.535
As 4.753 8.697 3.460
As 8.441 1.346 8.535
As 8.441 3.675 3.460
O 0.060 0.339 1.695
O 0.060 4.683 6.771
O 0.238 7.105 8.233
O 0.238 7.960 3.157
O 0.854 2.072 9.544
O 0.854 2.950 4.468
O 1.690 5.543 0.585
O 1.690 9.522 5.661
O 1.968 6.599 6.118
O 1.968 8.467 1.042
O 2.116 1.480 3.104
O 2.116 3.542 8.180
O 2.282 6.501 3.104
O 2.282 8.564 8.180
O 2.430 1.577 6.118
O 2.430 3.445 1.042
O 2.708 0.522 0.585
O 2.708 4.500 5.661
O 3.544 7.093 9.544
O 3.544 7.972 4.468
O 4.160 2.083 8.233
O 4.160 2.939 3.157
O 4.338 5.361 1.695
O 4.338 9.704 6.771
O 4.458 0.339 3.380
O 4.458 4.683 8.456
O 4.636 7.105 6.994
O 4.636 7.960 1.918
O 5.251 2.072 5.683
O 5.251 2.950 0.608
O 6.088 5.543 4.491
O 6.088 9.522 9.566
O 6.366 6.599 9.109
O 6.366 8.467 4.034
O 6.514 1.480 1.972
O 6.514 3.542 7.047
O 6.680 6.501 1.972
O 6.680 8.564 7.047
O 6.828 1.577 9.109
O 6.828 3.445 4.034
O 7.106 0.522 4.491
O 7.106 4.500 9.566
O 7.942 7.093 5.683
O 7.942 7.972 0.608
O 8.557 2.083 6.994
O 8.557 2.939 1.918
O 8.736 5.361 3.380
O 8.736 9.704 8.456
```

## Properties
- Formation energy from the elements: -963 meV per atom
- Magnetization: 32.0 Bohr magnetons per cell